(1)
VASP calculation (PBE) on a relaxed P2Pd crystal.

Crystal system: monoclinic

a = 6.9415 Å, b = 5.9004 Å, c = 5.9197 Å
α = 90.00°, β = 121.87°, γ = 90.00°
Last column: nearest neighbours and their distance in Å.
Space group C2/c (No. 15)
One atom of each set of equivalent atoms:
P 0.1860 0.1242 0.3337 [8 per cell]  2 P 2.22-2.24, 2 Pd 2.36
Pd 0.2500 0.2500 0.0000 [4 per cell]  4 P 2.36

(2)
VASP calculation (PBE) on a relaxed P3Pd7 crystal.

Crystal system: trigonal

a = 12.1003 Å, b = 12.1003 Å, c = 7.1679 Å
α = 90.00°, β = 90.00°, γ = 120.00°
Last column: nearest neighbours and their distance in Å.
Space group R3 (No. 146, hexagonal axes)
One atom of each set of equivalent atoms:
P 0.0077 0.8155 0.0000 [9 per cell]  6 Pd 2.31-2.55
P 0.1511 0.4726 0.2340 [9 per cell]  7 Pd 2.33-2.57
Pd 0.0000 0.0000 0.0832 [3 per cell]  3 P 2.36
Pd 0.0000 0.0000 0.4798 [3 per cell]  3 P 2.36
Pd 0.0280 0.7969 0.6637 [9 per cell]  4 P 2.45-2.69
Pd 0.0743 0.5011 0.9358 [9 per cell]  3 P 2.33-2.55
Pd 0.1268 0.4272 0.5699 [9 per cell]  3 P 2.43-2.57
Pd 0.1648 0.7620 0.9618 [9 per cell]  3 P 2.31-2.55

(3)
VASP calculation (PBE) on a relaxed PPd6 crystal.

Crystal system: orthorhombic

a = 7.3203 Å, b = 3.1003 Å, c = 9.6139 Å
α = 90.00°, β = 90.00°, γ = 90.00°
Last column: nearest neighbours and their distance in Å.
Space group Amm2 (No. 38)
One atom of each set of equivalent atoms:
P 0.0000 0.0000 0.0000 [2 per cell]  8 Pd 2.36-2.56
Pd 0.0000 0.0000 0.3155 [2 per cell]  2 P 2.36
Pd 0.1941 0.0000 0.6142 [4 per cell]  2 P 2.37
Pd 0.3185 0.0000 0.8899 [4 per cell]  1 P 2.56, 4 Pd 2.66-2.81
Pd 0.5000 0.0000 0.1775 [2 per cell]  12 Pd 2.79-3.10

(4)
VASP calculation (PBE) on a relaxed PrP2Pd2 crystal.

Crystal system: tetragonal

a = 4.1888 Å, b = 4.1888 Å, c = 10.0197 Å
α = 90.00°, β = 90.00°, γ = 90.00°
Last column: nearest neighbours and their distance in Å.
Space group I4/mmm (No. 139)
One atom of each set of equivalent atoms:
Pr 0.0000 0.0000 0.0000 [2 per cell]  8 P 3.17, 8 Pd 3.27
P 0.0000 0.0000 0.3867 [4 per cell]  1 P 2.27, 4 Pd 2.50
Pd 0.0000 0.5000 0.2500 [4 per cell]  4 P 2.50

(5)
VASP calculation (PBE) on a relaxed Rb2P2Pd crystal.

Crystal system: orthorhombic

a = 6.6565 Å, b = 14.5908 Å, c = 6.1518 Å
α = 90.00°, β = 90.00°, γ = 90.00°
Last column: nearest neighbours and their distance in Å.
Space group Cmcm (No. 63)
One atom of each set of equivalent atoms:
Rb 0.0000 0.0792 0.2500 [4 per cell]  6 P 3.50-3.82, 4 Pd 3.84, 4 Rb 3.85-3.87
Rb 0.0000 0.2858 0.7500 [4 per cell]  6 P 3.46-3.63, 2 Pd 3.48, 2 Rb 3.87
P 0.1634 0.3947 0.2500 [8 per cell]  1 P 2.18, 2 Pd 2.43
Pd 0.0000 0.5000 0.0000 [4 per cell]  4 P 2.43

(6)
VASP calculation (PBE) on a relaxed Rb4P3Pd3S12 crystal.

Crystal system: cubic

a = 12.2382 Å, b = 12.2382 Å, c = 12.2382 Å
α = 90.00°, β = 90.00°, γ = 90.00°
Last column: nearest neighbours and their distance in Å.
Space group Pm-3n (No. 223)
One atom of each set of equivalent atoms:
Rb 0.2500 0.2500 0.2500 [8 per cell]  6 S 3.62
P 0.0000 0.2500 0.5000 [6 per cell]  4 S 2.06
Pd 0.0000 0.0000 0.5000 [6 per cell]  4 S 2.39
S 0.0000 0.3552 0.3688 [24 per cell]  1 P 2.06

(7)
VASP calculation (PBE) on a relaxed SmPPd crystal.

Crystal system: hexagonal

a = 4.2201 Å, b = 4.2201 Å, c = 7.7299 Å
α = 90.00°, β = 90.00°, γ = 120.00°
Last column: nearest neighbours and their distance in Å.
Space group P6_3/mmc (No. 194)
One atom of each set of equivalent atoms:
Sm 0.0000 0.0000 0.0000 [2 per cell]  6 Pd 3.11, 6 P 3.11
P 0.3333 0.6667 0.2500 [2 per cell]  3 Pd 2.44
Pd 0.3333 0.6667 0.7500 [2 per cell]  3 P 2.44

(8)
VASP calculation (PBE) on a relaxed Sr2P3Pd3 crystal.

Crystal system: orthorhombic

a = 4.2229 Å, b = 4.2837 Å, c = 34.4858 Å
α = 90.00°, β = 90.00°, γ = 90.00°
Last column: nearest neighbours and their distance in Å.
Space group Pmmm (No. 47)
One atom of each set of equivalent atoms:
Sr 0.0000 0.0000 0.0721 [2 per cell]  6 P 3.21-3.29, 8 Pd 3.26-3.28
Sr 0.0000 0.5000 0.3214 [2 per cell]  6 Pd 3.16-3.30, 8 P 3.20-3.23
Sr 0.5000 0.0000 0.1766 [2 per cell]  6 Pd 3.16-3.28, 8 P 3.21-3.22
Sr 0.5000 0.5000 0.4267 [2 per cell]  6 P 3.22-3.32, 8 Pd 3.28-3.31
P 0.0000 0.0000 0.4597 [2 per cell]  5 Pd 2.44-2.55
P 0.0000 0.5000 0.1444 [2 per cell]  1 P 2.27, 2 Pd 2.43
P 0.0000 0.5000 0.2103 [2 per cell]  1 P 2.27, 4 Pd 2.48-2.53
P 0.5000 0.0000 0.2871 [2 per cell]  1 P 2.28, 4 Pd 2.48-2.53
P 0.5000 0.0000 0.3532 [2 per cell]  1 P 2.28, 2 Pd 2.45
P 0.5000 0.5000 0.0399 [2 per cell]  5 Pd 2.40-2.54
Pd 0.0000 0.0000 0.2495 [2 per cell]  4 P 2.48-2.53
Pd 0.0000 0.0000 0.3890 [2 per cell]  3 P 2.44-2.45
Pd 0.0000 0.5000 0.0000 [1 per cell]  4 P 2.52
Pd 0.0000 0.5000 0.5000 [1 per cell]  4 P 2.55
Pd 0.5000 0.0000 0.0000 [1 per cell]  4 P 2.54
Pd 0.5000 0.0000 0.5000 [1 per cell]  4 P 2.53
Pd 0.5000 0.5000 0.1094 [2 per cell]  3 P 2.40-2.43
Pd 0.5000 0.5000 0.2478 [2 per cell]  4 P 2.48-2.53

(9)
VASP calculation (PBE) on a relaxed Sr4P5Pd5 crystal.

Crystal system: orthorhombic

a = 4.2220 Å, b = 31.5376 Å, c = 8.7057 Å
α = 90.00°, β = 90.00°, γ = 90.00°
Last column: nearest neighbours and their distance in Å.
Space group Cmcm (No. 63)
One atom of each set of equivalent atoms:
Sr 0.0000 0.0792 0.9998 [8 per cell]  6 P 3.24-3.28, 8 Pd 3.27-3.31
Sr 0.0000 0.3064 0.0043 [8 per cell]  5 Pd 3.19-3.26, 7 P 3.23-3.27
P 0.0000 0.1557 0.7500 [4 per cell]  3 Pd 2.41-2.45
P 0.0000 0.1569 0.2500 [4 per cell]  1 P 2.27, 2 Pd 2.41
P 0.0000 0.2291 0.2500 [4 per cell]  1 P 2.27, 2 Pd 2.42
P 0.0000 0.4567 0.7500 [4 per cell]  5 Pd 2.42-2.57, 1 P 2.70
P 0.0000 0.4577 0.2500 [4 per cell]  5 Pd 2.40-2.55
Pd 0.0000 0.9999 0.2500 [4 per cell]  4 P 2.50-2.52
Pd 0.0000 0.2335 0.7500 [4 per cell]  3 P 2.42-2.45
Pd 0.0000 0.3799 0.7500 [4 per cell]  3 P 2.41-2.42
Pd 0.0000 0.3814 0.2500 [4 per cell]  3 P 2.40-2.41
Pd 0.0000 0.5000 0.0000 [4 per cell]  4 P 2.55-2.57

(10)
VASP calculation (PBE) on a relaxed Sr2P3Pd3 crystal.

Crystal system: orthorhombic

a = 4.2253 Å, b = 4.2606 Å, c = 34.6195 Å
α = 90.00°, β = 90.00°, γ = 90.00°
Last column: nearest neighbours and their distance in Å.
Space group Immm (No. 71)
One atom of each set of equivalent atoms:
Sr 0.0000 0.0000 0.0728 [4 per cell]  6 P 3.20-3.31, 8 Pd 3.27-3.30
Sr 0.0000 0.5000 0.3223 [4 per cell]  6 Pd 3.16-3.29, 8 P 3.19-3.22
P 0.0000 0.0000 0.4597 [4 per cell]  5 Pd 2.42-2.55
P 0.0000 0.5000 0.1460 [4 per cell]  1 P 2.26, 2 Pd 2.45
P 0.0000 0.5000 0.2113 [4 per cell]  1 P 2.26, 4 Pd 2.49-2.53
Pd 0.0000 0.0000 0.2506 [4 per cell]  4 P 2.49-2.53
Pd 0.0000 0.0000 0.3898 [4 per cell]  3 P 2.42-2.45
Pd 0.0000 0.5000 0.0000 [2 per cell]  4 P 2.53
Pd 0.0000 0.5000 0.5000 [2 per cell]  4 P 2.55

(11)
VASP calculation (PBE) on a relaxed TlPPd5 crystal.

Crystal system: tetragonal

a = 4.0042 Å, b = 4.0042 Å, c = 7.1157 Å
α = 90.00°, β = 90.00°, γ = 90.00°
Last column: nearest neighbours and their distance in Å.
Space group P4/mmm (No. 123)
One atom of each set of equivalent atoms:
Tl 0.0000 0.0000 0.0000 [1 per cell]  12 Pd 2.83-2.94
P 0.5000 0.5000 0.5000 [1 per cell]  8 Pd 2.44
Pd 0.0000 0.5000 0.3031 [4 per cell]  2 P 2.44
Pd 0.5000 0.5000 0.0000 [1 per cell]  4 Tl 2.83, 8 Pd 2.94

(12)
VASP calculation (PBE) on a relaxed Tm3P6Pd20 crystal.

Crystal system: cubic

a = 12.2387 Å, b = 12.2387 Å, c = 12.2387 Å
α = 90.00°, β = 90.00°, γ = 90.00°
Last column: nearest neighbours and their distance in Å.
Space group Fm-3m (No. 225)
One atom of each set of equivalent atoms:
Tm 0.0000 0.0000 0.0000 [4 per cell]  12 Pd 2.98, 6 P 3.24
Tm 0.2500 0.2500 0.2500 [8 per cell]  4 Pd 2.83
P 0.0000 0.0000 0.2646 [24 per cell]  8 Pd 2.39-2.49
Pd 0.0000 0.1721 0.1721 [48 per cell]  2 P 2.39
Pd 0.1166 0.1166 0.3834 [32 per cell]  3 P 2.49

(13)
VASP calculation (PBE) on a relaxed TmPPd crystal.

Crystal system: orthorhombic

a = 6.8446 Å, b = 3.9717 Å, c = 7.7228 Å
α = 90.00°, β = 90.00°, γ = 90.00°
Last column: nearest neighbours and their distance in Å.
Space group Pnma (No. 62)
One atom of each set of equivalent atoms:
Tm 0.0308 0.2500 0.1863 [4 per cell]  5 P 2.81-2.89, 5 Pd 3.01-3.12
P 0.2503 0.2500 0.8767 [4 per cell]  4 Pd 2.53-2.76, 3 Tm 2.81-2.82
Pd 0.1479 0.2500 0.5617 [4 per cell]  4 P 2.53-2.76

(14)
VASP calculation (PBE) on a relaxed YP2Pd2 crystal.

Crystal system: tetragonal

a = 4.1032 Å, b = 4.1032 Å, c = 9.9351 Å
α = 90.00°, β = 90.00°, γ = 90.00°
Last column: nearest neighbours and their distance in Å.
Space group I4/mmm (No. 139)
One atom of each set of equivalent atoms:
Y 0.0000 0.0000 0.0000 [2 per cell]  8 P 3.10, 8 Pd 3.22
P 0.0000 0.0000 0.3890 [4 per cell]  1 P 2.21
Pd 0.0000 0.5000 0.2500 [4 per cell]  4 P 2.47

(15)
VASP calculation (PBE) on a relaxed ZnPPd5 crystal.

Crystal system: tetragonal

a = 3.9244 Å, b = 3.9244 Å, c = 6.9324 Å
α = 90.00°, β = 90.00°, γ = 90.00°
Last column: nearest neighbours and their distance in Å.
Space group P4/mmm (No. 123)
One atom of each set of equivalent atoms:
Zn 0.0000 0.0000 0.0000 [1 per cell]  12 Pd 2.78-2.83
P 0.5000 0.5000 0.5000 [1 per cell]  8 Pd 2.43
Pd 0.0000 0.5000 0.2942 [4 per cell]  2 P 2.43
Pd 0.5000 0.5000 0.0000 [1 per cell]  4 Zn 2.78, 8 Pd 2.83

(16)
VASP calculation (PBE) on a relaxed PmP3 crystal.

Crystal system: tetragonal

a = 3.9706 Å, b = 3.9706 Å, c = 9.6030 Å
α = 90.00°, β = 90.00°, γ = 90.00°
Last column: nearest neighbours and their distance in Å.
Space group I4/mmm (No. 139)
One atom of each set of equivalent atoms:
Pm 0.0000 0.0000 0.0000 [2 per cell]  12 P 2.81-3.12
P 0.0000 0.0000 0.5000 [2 per cell]  4 Pm 2.81, 8 P 3.12
P 0.0000 0.5000 0.2500 [4 per cell]  8 P 2.81-3.12, 4 Pm 3.12

(17)
VASP calculation (PBE) on a relaxed PrP crystal.

Crystal system: cubic

a = 5.9489 Å, b = 5.9489 Å, c = 5.9489 Å
α = 90.00°, β = 90.00°, γ = 90.00°
Last column: nearest neighbours and their distance in Å.
Space group Fm-3m (No. 225)
One atom of each set of equivalent atoms:
Pr 0.0000 0.0000 0.0000 [4 per cell]  6 P 2.97
P 0.0000 0.0000 0.5000 [4 per cell]  6 Pr 2.97

(18)
VASP calculation (PBE) on a relaxed PrP2 crystal.

Crystal system: monoclinic

a = 4.0727 Å, b = 6.6163 Å, c = 10.2420 Å
α = 90.00°, β = 105.66°, γ = 90.00°
Last column: nearest neighbours and their distance in Å.
Space group P2_1/c (No. 14)
One atom of each set of equivalent atoms:
Pr 0.0826 0.1842 0.3601 [4 per cell]  9 P 2.94-3.19
P 0.3044 0.6213 0.4525 [4 per cell]  2 P 2.23-2.29
P 0.4660 0.1619 0.6647 [4 per cell]  1 P 2.23

(19)
VASP calculation (PBE) on a relaxed Pr2P3Rh3 crystal.

Crystal system: tetragonal

a = 2.9244 Å, b = 2.9244 Å, c = 19.9018 Å
α = 90.00°, β = 90.00°, γ = 90.00°
Last column: nearest neighbours and their distance in Å.
Space group P4/mmm (No. 123)
One atom of each set of equivalent atoms:
Pr 0.0000 0.0000 0.2462 [2 per cell]  1 Rh 2.76, 1 P 2.82, 4 Pr 2.92
P 0.0000 0.0000 0.0000 [1 per cell]  2 Rh 2.13
P 0.0000 0.0000 0.3881 [2 per cell]  1 Rh 2.23
Rh 0.0000 0.0000 0.1072 [2 per cell]  1 P 2.13
Rh 0.0000 0.0000 0.5000 [1 per cell]  2 P 2.23

Number 1: formation energy from the elements -430 meV/atom, V 17.2 A^3/atom. Number 2: formation energy from the elements -474 meV/atom, V 15.1 A^3/atom. Number 3: formation energy from the elements -175 meV/atom, V 15.6 A^3/atom. Number 4: formation energy from the elements -960 meV/atom, V 17.6 A^3/atom. Number 5: formation energy from the elements -506 meV/atom, V 29.9 A^3/atom. Number 6: formation energy from the elements -902 meV/atom, V 41.7 A^3/atom. Number 7: formation energy from the elements -1250 meV/atom, V 19.9 A^3/atom. Number 8: formation energy from the elements -909 meV/atom, V 19.5 A^3/atom. Number 9: formation energy from the elements -947 meV/atom, V 20.7 A^3/atom. Number 10: formation energy from the elements -899 meV/atom, V 19.5 A^3/atom. Number 11: formation energy from the elements -419 meV/atom, V 16.3 A^3/atom. Number 12: formation energy from the elements -735 meV/atom, V 15.8 A^3/atom. Number 13: formation energy from the elements -1273 meV/atom, V 17.5 A^3/atom. Number 14: formation energy from the elements -931 meV/atom, V 16.7 A^3/atom. Number 15: formation energy from the elements -486 meV/atom, V 15.3 A^3/atom. Number 16: formation energy from the elements -300 meV/atom, V 18.9 A^3/atom. Number 17: formation energy from the elements -1510 meV/atom, V 26.3 A^3/atom. Number 18: formation energy from the elements -1021 meV/atom, V 22.1 A^3/atom. Number 19: formation energy from the elements 509 meV/atom, V 21.3 A^3/atom.